[1]
# KBCF6 (PBE, relaxed)
data_KBCF6
_chemical_formula_sum 'K4 B4 C4 F24'
_space_group_name_H-M_alt 'P 1'
_space_group_IT_number 1
_cell_length_a 4.9141
_cell_length_b 16.5896
_cell_length_c 6.4382
_cell_angle_alpha 90.00
_cell_angle_beta 101.99
_cell_angle_gamma 90.00
loop_
_space_group_symop_operation_xyz
'x,y,z'
loop_
_atom_site_label
_atom_site_type_symbol
_atom_site_fract_x
_atom_site_fract_y
_atom_site_fract_z
K1 K 0.1805 0.1552 0.2201
K2 K 0.1805 0.3448 0.7201
K3 K 0.8195 0.6552 0.2799
K4 K 0.8195 0.8448 0.7799
B1 B 0.2856 0.6611 0.8475
B2 B 0.2856 0.8389 0.3475
B3 B 0.7144 0.1611 0.6525
B4 B 0.7144 0.3389 0.1525
C1 C 0.3859 0.5823 0.7266
C2 C 0.3859 0.9177 0.2266
C3 C 0.6141 0.0823 0.7734
C4 C 0.6141 0.4177 0.2734
F1 F 0.0478 0.6961 0.7147
F2 F 0.0478 0.8039 0.2147
F3 F 0.1990 0.5188 0.7030
F4 F 0.1990 0.9812 0.2030
F5 F 0.2242 0.6364 0.0437
F6 F 0.2242 0.8636 0.5437
F7 F 0.3632 0.0510 0.6731
F8 F 0.3632 0.4490 0.1731
F9 F 0.4138 0.5999 0.5199
F10 F 0.4138 0.9001 0.0199
F11 F 0.4940 0.2183 0.6097
F12 F 0.4940 0.2817 0.1097
F13 F 0.5060 0.7183 0.8903
F14 F 0.5060 0.7817 0.3903
F15 F 0.5862 0.0999 0.9801
F16 F 0.5862 0.4001 0.4801
F17 F 0.6368 0.5510 0.8269
F18 F 0.6368 0.9490 0.3269
F19 F 0.7758 0.1364 0.4563
F20 F 0.7758 0.3636 0.9563
F21 F 0.8010 0.0188 0.7970
F22 F 0.8010 0.4812 0.2970
F23 F 0.9522 0.1961 0.7853
F24 F 0.9522 0.3039 0.2853
# Energy relative to the elements (meV/atom): -2608
# Size of the total moment (μB/f.u.): 0.00
# Space group: P2_1/c
# E (eV/atom): -5.4674

---

[2]
# KBCNF3 (PBE, relaxed)
data_KBCNF3
_chemical_formula_sum 'K8 B8 C8 N8 F24'
_space_group_name_H-M_alt 'P 1'
_space_group_IT_number 1
_cell_length_a 13.6720
_cell_length_b 6.6170
_cell_length_c 10.2752
_cell_angle_alpha 90.00
_cell_angle_beta 90.00
_cell_angle_gamma 90.00
loop_
_space_group_symop_operation_xyz
'x,y,z'
loop_
_atom_site_label
_atom_site_type_symbol
_atom_site_fract_x
_atom_site_fract_y
_atom_site_fract_z
K1 K 0.1246 0.0025 0.1200
K2 K 0.1246 0.9975 0.6200
K3 K 0.3754 0.4975 0.6200
K4 K 0.3754 0.5025 0.1200
K5 K 0.6246 0.4975 0.8800
K6 K 0.6246 0.5025 0.3800
K7 K 0.8754 0.0025 0.3800
K8 K 0.8754 0.9975 0.8800
B1 B 0.1506 0.3719 0.3700
B2 B 0.1506 0.6281 0.8700
B3 B 0.3494 0.1281 0.8700
B4 B 0.3494 0.8719 0.3700
B5 B 0.6506 0.1281 0.6300
B6 B 0.6506 0.8719 0.1300
B7 B 0.8494 0.3719 0.1300
B8 B 0.8494 0.6281 0.6300
C1 C 0.0936 0.4155 0.8831
C2 C 0.0936 0.5845 0.3831
C3 C 0.4064 0.0845 0.3831
C4 C 0.4064 0.9155 0.8831
C5 C 0.5936 0.0845 0.1169
C6 C 0.5936 0.9155 0.6169
C7 C 0.9064 0.4155 0.6169
C8 C 0.9064 0.5845 0.1169
N1 N 0.0530 0.2613 0.8938
N2 N 0.0530 0.7387 0.3938
N3 N 0.4470 0.2387 0.3938
N4 N 0.4470 0.7613 0.8938
N5 N 0.5530 0.2387 0.1062
N6 N 0.5530 0.7613 0.6062
N7 N 0.9470 0.2613 0.6062
N8 N 0.9470 0.7387 0.1062
F1 F 0.0824 0.2106 0.3576
F2 F 0.0824 0.7894 0.8576
F3 F 0.2077 0.3405 0.4837
F4 F 0.2077 0.6595 0.9837
F5 F 0.2110 0.3744 0.2578
F6 F 0.2110 0.6256 0.7578
F7 F 0.2890 0.1256 0.7578
F8 F 0.2890 0.8744 0.2578
F9 F 0.2923 0.1595 0.9837
F10 F 0.2923 0.8405 0.4837
F11 F 0.4176 0.2894 0.8576
F12 F 0.4176 0.7106 0.3576
F13 F 0.5824 0.2894 0.6424
F14 F 0.5824 0.7106 0.1424
F15 F 0.7077 0.1595 0.5163
F16 F 0.7077 0.8405 0.0163
F17 F 0.7110 0.1256 0.7422
F18 F 0.7110 0.8744 0.2422
F19 F 0.7890 0.3744 0.2422
F20 F 0.7890 0.6256 0.7422
F21 F 0.7923 0.3405 0.0163
F22 F 0.7923 0.6595 0.5163
F23 F 0.9176 0.2106 0.1424
F24 F 0.9176 0.7894 0.6424
# Energy relative to the elements (meV/atom): -2094
# Size of the total moment (μB/f.u.): 0.00
# Space group: Pbcn
# E (eV/atom): -6.3383

---

[3]
# BC6XeF11 (PBE, relaxed)
data_BC6XeF11
_chemical_formula_sum 'B4 C24 Xe4 F44'
_space_group_name_H-M_alt 'P 1'
_space_group_IT_number 1
_cell_length_a 7.6126
_cell_length_b 19.4333
_cell_length_c 8.9419
_cell_angle_alpha 90.00
_cell_angle_beta 123.59
_cell_angle_gamma 90.00
loop_
_space_group_symop_operation_xyz
'x,y,z'
loop_
_atom_site_label
_atom_site_type_symbol
_atom_site_fract_x
_atom_site_fract_y
_atom_site_fract_z
B1 B 0.1865 0.0648 0.4377
B2 B 0.1865 0.4352 0.9377
B3 B 0.8135 0.5648 0.0623
B4 B 0.8135 0.9352 0.5623
C1 C 0.0275 0.6656 0.6987
C2 C 0.0275 0.8344 0.1987
C3 C 0.0625 0.2074 0.7331
C4 C 0.0625 0.2926 0.2331
C5 C 0.1007 0.1207 0.9432
C6 C 0.1007 0.3793 0.4432
C7 C 0.2790 0.2058 0.8057
C8 C 0.2790 0.2942 0.3057
C9 C 0.3167 0.1211 0.0149
C10 C 0.3167 0.3789 0.5149
C11 C 0.4101 0.1626 0.9501
C12 C 0.4101 0.3374 0.4501
C13 C 0.5899 0.6626 0.5499
C14 C 0.5899 0.8374 0.0499
C15 C 0.6833 0.6211 0.4851
C16 C 0.6833 0.8789 0.9851
C17 C 0.7210 0.7058 0.6943
C18 C 0.7210 0.7942 0.1943
C19 C 0.8993 0.6207 0.5568
C20 C 0.8993 0.8793 0.0568
C21 C 0.9375 0.7074 0.7669
C22 C 0.9375 0.7926 0.2669
C23 C 0.9725 0.1656 0.8013
C24 C 0.9725 0.3344 0.3013
Xe1 Xe 0.4828 0.5536 0.2684
Xe2 Xe 0.4828 0.9464 0.7684
Xe3 Xe 0.5172 0.0536 0.2316
Xe4 Xe 0.5172 0.4464 0.7316
F1 F 0.0165 0.0794 0.0063
F2 F 0.0165 0.4206 0.5063
F3 F 0.0317 0.5690 0.1470
F4 F 0.0317 0.9310 0.6470
F5 F 0.0600 0.7493 0.9050
F6 F 0.0600 0.7507 0.4050
F7 F 0.2340 0.6688 0.7667
F8 F 0.2340 0.8312 0.2667
F9 F 0.2454 0.5015 0.9070
F10 F 0.2454 0.9985 0.4070
F11 F 0.2613 0.1172 0.3786
F12 F 0.2613 0.3828 0.8786
F13 F 0.2895 0.0697 0.6300
F14 F 0.2895 0.4303 0.1300
F15 F 0.3509 0.6397 0.1169
F16 F 0.3509 0.8603 0.6169
F17 F 0.3545 0.5226 0.5454
F18 F 0.3545 0.9774 0.0454
F19 F 0.3598 0.2446 0.7340
F20 F 0.3598 0.2554 0.2340
F21 F 0.3831 0.6611 0.4788
F22 F 0.3831 0.8389 0.9788
F23 F 0.6169 0.1611 0.0212
F24 F 0.6169 0.3389 0.5212
F25 F 0.6402 0.7446 0.7660
F26 F 0.6402 0.7554 0.2660
F27 F 0.6455 0.0226 0.9546
F28 F 0.6455 0.4774 0.4546
F29 F 0.6491 0.1397 0.3831
F30 F 0.6491 0.3603 0.8831
F31 F 0.7105 0.5697 0.8700
F32 F 0.7105 0.9303 0.3700
F33 F 0.7387 0.6172 0.1214
F34 F 0.7387 0.8828 0.6214
F35 F 0.7546 0.0015 0.5930
F36 F 0.7546 0.4985 0.0930
F37 F 0.7660 0.1688 0.7333
F38 F 0.7660 0.3312 0.2333
F39 F 0.9400 0.2493 0.5950
F40 F 0.9400 0.2507 0.0950
F41 F 0.9683 0.0690 0.3530
F42 F 0.9683 0.4310 0.8530
F43 F 0.9835 0.5794 0.4937
F44 F 0.9835 0.9206 0.9937
# Energy relative to the elements (meV/atom): -1318
# Size of the total moment (μB/f.u.): 0.00
# Space group: P2_1/c
# E (eV/atom): -5.4267

---

[4]
# Fe46B3C9 (PBE, relaxed)
data_Fe46B3C9
_chemical_formula_sum 'Fe46 B3 C9'
_space_group_name_H-M_alt 'P 1'
_space_group_IT_number 1
_cell_length_a 7.4290
_cell_length_b 7.4348
_cell_length_c 12.8649
_cell_angle_alpha 73.44
_cell_angle_beta 73.37
_cell_angle_gamma 60.05
loop_
_space_group_symop_operation_xyz
'x,y,z'
loop_
_atom_site_label
_atom_site_type_symbol
_atom_site_fract_x
_atom_site_fract_y
_atom_site_fract_z
Fe1 Fe 0.0000 0.0000 0.0000
Fe2 Fe 0.9995 0.6616 0.3377
Fe3 Fe 0.0053 0.6598 0.9985
Fe4 Fe 0.0212 0.0215 0.5936
Fe5 Fe 0.1382 0.1382 0.2458
Fe6 Fe 0.1594 0.5062 0.4975
Fe7 Fe 0.1629 0.1553 0.8402
Fe8 Fe 0.1640 0.5014 0.8398
Fe9 Fe 0.1684 0.8310 0.1691
Fe10 Fe 0.1700 0.4909 0.1690
Fe11 Fe 0.2075 0.2053 0.0448
Fe12 Fe 0.2541 0.7915 0.3608
Fe13 Fe 0.2567 0.2566 0.3589
Fe14 Fe 0.2924 0.7530 0.8620
Fe15 Fe 0.3209 0.3305 0.6694
Fe16 Fe 0.3307 0.6689 0.6687
Fe17 Fe 0.3321 0.9863 0.6710
Fe18 Fe 0.3742 0.9031 0.4768
Fe19 Fe 0.4037 0.8729 0.9780
Fe20 Fe 0.4068 0.4062 0.9779
Fe21 Fe 0.4557 0.4561 0.2951
Fe22 Fe 0.4861 0.8324 0.1715
Fe23 Fe 0.4911 0.1701 0.1691
Fe24 Fe 0.4994 0.1613 0.8387
Fe25 Fe 0.5000 0.4998 0.4997
Fe26 Fe 0.5059 0.1597 0.4984
Fe27 Fe 0.5209 0.5209 0.0951
Fe28 Fe 0.6367 0.6397 0.7443
Fe29 Fe 0.6593 0.0052 0.9989
Fe30 Fe 0.6608 0.6610 0.3386
Fe31 Fe 0.6615 0.9994 0.3380
Fe32 Fe 0.6670 0.3308 0.6690
Fe33 Fe 0.6685 0.9923 0.6692
Fe34 Fe 0.7070 0.7063 0.5438
Fe35 Fe 0.7533 0.2882 0.8618
Fe36 Fe 0.7560 0.7603 0.8599
Fe37 Fe 0.7913 0.2540 0.3609
Fe38 Fe 0.8285 0.8282 0.1666
Fe39 Fe 0.8307 0.1682 0.1695
Fe40 Fe 0.8323 0.4862 0.1716
Fe41 Fe 0.8750 0.4013 0.9796
Fe42 Fe 0.9031 0.3738 0.4764
Fe43 Fe 0.9067 0.9075 0.4762
Fe44 Fe 0.9578 0.9557 0.7944
Fe45 Fe 0.9847 0.3305 0.6692
Fe46 Fe 0.9897 0.6748 0.6672
B1 B 0.1951 0.1936 0.5314
B2 B 0.6941 0.6937 0.0330
B3 B 0.9203 0.4680 0.8068
C1 C 0.1928 0.7492 0.5297
C2 C 0.2482 0.6920 0.0310
C3 C 0.4136 0.9704 0.3087
C4 C 0.4711 0.4695 0.8077
C5 C 0.4719 0.9120 0.8088
C6 C 0.6923 0.2482 0.0309
C7 C 0.7489 0.1918 0.5305
C8 C 0.9696 0.9693 0.3077
C9 C 0.9707 0.4136 0.3087
# Energy relative to the elements (meV/atom): 2
# Size of the total moment (μB/f.u.): 91.31
# Space group: P1
# E (eV/atom): -8.4928

---

[5]
# Fe23B3C3 (PBE, relaxed)
data_Fe23B3C3
_chemical_formula_sum 'Fe23 B3 C3'
_space_group_name_H-M_alt 'P 1'
_space_group_IT_number 1
_cell_length_a 7.4463
_cell_length_b 7.4463
_cell_length_c 7.4463
_cell_angle_alpha 60.01
_cell_angle_beta 60.01
_cell_angle_gamma 60.01
loop_
_space_group_symop_operation_xyz
'x,y,z'
loop_
_atom_site_label
_atom_site_type_symbol
_atom_site_fract_x
_atom_site_fract_y
_atom_site_fract_z
Fe1 Fe 0.0014 0.0014 0.3459
Fe2 Fe 0.0013 0.0013 0.6644
Fe3 Fe 0.0014 0.3459 0.0014
Fe4 Fe 0.0013 0.6644 0.0013
Fe5 Fe 0.0051 0.0051 0.0051
Fe6 Fe 0.1466 0.6209 0.6209
Fe7 Fe 0.2500 0.2500 0.2500
Fe8 Fe 0.3421 0.6606 0.9974
Fe9 Fe 0.3421 0.9974 0.6606
Fe10 Fe 0.3459 0.0014 0.0014
Fe11 Fe 0.3815 0.3815 0.3815
Fe12 Fe 0.3857 0.3857 0.8517
Fe13 Fe 0.3857 0.8517 0.3857
Fe14 Fe 0.6169 0.6169 0.6169
Fe15 Fe 0.6209 0.1466 0.6209
Fe16 Fe 0.6209 0.6209 0.1466
Fe17 Fe 0.6606 0.3421 0.9974
Fe18 Fe 0.6606 0.9974 0.3421
Fe19 Fe 0.6644 0.0013 0.0013
Fe20 Fe 0.7502 0.7502 0.7502
Fe21 Fe 0.8517 0.3857 0.3857
Fe22 Fe 0.9974 0.3421 0.6606
Fe23 Fe 0.9974 0.6606 0.3421
B1 B 0.2762 0.2762 0.7246
B2 B 0.2762 0.7246 0.2762
B3 B 0.7246 0.2762 0.2762
C1 C 0.2782 0.7223 0.7223
C2 C 0.7223 0.2782 0.7223
C3 C 0.7223 0.7223 0.2782
# Energy relative to the elements (meV/atom): -61
# Size of the total moment (μB/f.u.): 48.57
# Space group: R3m
# E (eV/atom): -8.4246

---

[6]
# Fe6BMo6C (PBE, relaxed)
data_Fe6BMo6C
_chemical_formula_sum 'Fe12 B2 Mo12 C2'
_space_group_name_H-M_alt 'P 1'
_space_group_IT_number 1
_cell_length_a 7.8522
_cell_length_b 7.8522
_cell_length_c 7.8522
_cell_angle_alpha 120.12
_cell_angle_beta 119.83
_cell_angle_gamma 90.04
loop_
_space_group_symop_operation_xyz
'x,y,z'
loop_
_atom_site_label
_atom_site_type_symbol
_atom_site_fract_x
_atom_site_fract_y
_atom_site_fract_z
Fe1 Fe 0.0000 0.0000 0.0000
Fe2 Fe 0.2979 0.2020 0.0959
Fe3 Fe 0.2979 0.2020 0.4041
Fe4 Fe 0.2979 0.8937 0.0959
Fe5 Fe 0.3939 0.7980 0.5959
Fe6 Fe 0.5000 0.0000 0.0000
Fe7 Fe 0.5000 0.0000 0.5000
Fe8 Fe 0.5000 0.5000 0.5000
Fe9 Fe 0.6061 0.2020 0.4041
Fe10 Fe 0.7021 0.1063 0.9041
Fe11 Fe 0.7021 0.7980 0.5959
Fe12 Fe 0.7021 0.7980 0.9041
B1 B 0.0000 0.0000 0.5000
B2 B 0.0000 0.5000 0.0000
Mo1 Mo 0.0810 0.4226 0.2553
Mo2 Mo 0.0810 0.8257 0.6584
Mo3 Mo 0.0809 0.8309 0.2500
Mo4 Mo 0.3273 0.5773 0.7500
Mo5 Mo 0.3327 0.1743 0.7553
Mo6 Mo 0.3327 0.5774 0.1584
Mo7 Mo 0.6673 0.4226 0.8416
Mo8 Mo 0.6673 0.8257 0.2447
Mo9 Mo 0.6727 0.4227 0.2500
Mo10 Mo 0.9191 0.1691 0.7500
Mo11 Mo 0.9190 0.1743 0.3416
Mo12 Mo 0.9190 0.5774 0.7447
C1 C 0.0000 0.5000 0.5000
C2 C 0.5000 0.5000 0.0000
# Energy relative to the elements (meV/atom): -35
# Size of the total moment (μB/f.u.): 0.10
# Space group: Imma
# E (eV/atom): -9.4492

---

[7]
# GdB2C2 (PBE, relaxed)
data_GdB2C2
_chemical_formula_sum 'Gd2 B4 C4'
_space_group_name_H-M_alt 'P 1'
_space_group_IT_number 1
_cell_length_a 3.8142
_cell_length_b 3.8142
_cell_length_c 7.3726
_cell_angle_alpha 90.00
_cell_angle_beta 90.00
_cell_angle_gamma 90.00
loop_
_space_group_symop_operation_xyz
'x,y,z'
loop_
_atom_site_label
_atom_site_type_symbol
_atom_site_fract_x
_atom_site_fract_y
_atom_site_fract_z
Gd1 Gd 0.0000 0.0000 0.2500
Gd2 Gd 0.0000 0.0000 0.7500
B1 B 0.2166 0.5000 0.0000
B2 B 0.5000 0.2166 0.5000
B3 B 0.5000 0.7834 0.5000
B4 B 0.7834 0.5000 0.0000
C1 C 0.1866 0.5000 0.5000
C2 C 0.5000 0.1866 0.0000
C3 C 0.5000 0.8134 0.0000
C4 C 0.8134 0.5000 0.5000
# Energy relative to the elements (meV/atom): -307
# Size of the total moment (μB/f.u.): 6.87
# Space group: P4_2/mmc
# E (eV/atom): -9.4858

---

[8]
# Gd2B3C2 (PBE, relaxed)
data_Gd2B3C2
_chemical_formula_sum 'Gd4 B6 C4'
_space_group_name_H-M_alt 'P 1'
_space_group_IT_number 1
_cell_length_a 3.4224
_cell_length_b 13.7092
_cell_length_c 3.7199
_cell_angle_alpha 90.00
_cell_angle_beta 90.00
_cell_angle_gamma 90.00
loop_
_space_group_symop_operation_xyz
'x,y,z'
loop_
_atom_site_label
_atom_site_type_symbol
_atom_site_fract_x
_atom_site_fract_y
_atom_site_fract_z
Gd1 Gd 0.0000 0.1349 0.0000
Gd2 Gd 0.0000 0.8651 0.0000
Gd3 Gd 0.5000 0.3651 0.0000
Gd4 Gd 0.5000 0.6349 0.0000
B1 B 0.0000 0.2826 0.5000
B2 B 0.0000 0.5000 0.5000
B3 B 0.0000 0.7174 0.5000
B4 B 0.5000 0.0000 0.5000
B5 B 0.5000 0.2174 0.5000
B6 B 0.5000 0.7826 0.5000
C1 C 0.0000 0.3948 0.5000
C2 C 0.0000 0.6052 0.5000
C3 C 0.5000 0.1052 0.5000
C4 C 0.5000 0.8948 0.5000
# Energy relative to the elements (meV/atom): -477
# Space group: Cmmm
# E (eV/atom): -9.9982

---

[9]
# GdB2C2 (PBE, relaxed)
data_GdB2C2
_chemical_formula_sum 'Gd2 B4 C4'
_space_group_name_H-M_alt 'P 1'
_space_group_IT_number 1
_cell_length_a 5.3531
_cell_length_b 5.3531
_cell_length_c 3.6554
_cell_angle_alpha 90.00
_cell_angle_beta 90.00
_cell_angle_gamma 90.00
loop_
_space_group_symop_operation_xyz
'x,y,z'
loop_
_atom_site_label
_atom_site_type_symbol
_atom_site_fract_x
_atom_site_fract_y
_atom_site_fract_z
Gd1 Gd 0.0000 0.0000 0.0000
Gd2 Gd 0.5000 0.5000 0.0000
B1 B 0.1368 0.3632 0.5000
B2 B 0.3632 0.8632 0.5000
B3 B 0.6368 0.1368 0.5000
B4 B 0.8632 0.6368 0.5000
C1 C 0.1616 0.6616 0.5000
C2 C 0.3384 0.1616 0.5000
C3 C 0.6616 0.8384 0.5000
C4 C 0.8384 0.3384 0.5000
# Energy relative to the elements (meV/atom): -441
# Space group: P4/mbm
# E (eV/atom): -9.6199

---

[10]
# GdNi2B2C (PBE, relaxed)
data_GdNi2B2C
_chemical_formula_sum 'Gd2 Ni4 B4 C2'
_space_group_name_H-M_alt 'P 1'
_space_group_IT_number 1
_cell_length_a 3.5853
_cell_length_b 3.5853
_cell_length_c 10.2925
_cell_angle_alpha 90.00
_cell_angle_beta 90.00
_cell_angle_gamma 90.00
loop_
_space_group_symop_operation_xyz
'x,y,z'
loop_
_atom_site_label
_atom_site_type_symbol
_atom_site_fract_x
_atom_site_fract_y
_atom_site_fract_z
Gd1 Gd 0.0000 0.0000 0.0000
Gd2 Gd 0.5000 0.5000 0.5000
Ni1 Ni 0.0000 0.5000 0.2500
Ni2 Ni 0.0000 0.5000 0.7500
Ni3 Ni 0.5000 0.0000 0.2500
Ni4 Ni 0.5000 0.0000 0.7500
B1 B 0.0000 0.0000 0.3547
B2 B 0.0000 0.0000 0.6453
B3 B 0.5000 0.5000 0.1453
B4 B 0.5000 0.5000 0.8547
C1 C 0.0000 0.0000 0.5000
C2 C 0.5000 0.5000 0.0000
# Energy relative to the elements (meV/atom): -498
# Size of the total moment (μB/f.u.): 7.05
# Space group: I4/mmm
# E (eV/atom): -8.5351

---

[11]
# GdB2Rh2C (PBE, relaxed)
data_GdB2Rh2C
_chemical_formula_sum 'Gd2 B4 Rh4 C2'
_space_group_name_H-M_alt 'P 1'
_space_group_IT_number 1
_cell_length_a 3.8203
_cell_length_b 3.8203
_cell_length_c 10.3708
_cell_angle_alpha 90.00
_cell_angle_beta 90.00
_cell_angle_gamma 90.00
loop_
_space_group_symop_operation_xyz
'x,y,z'
loop_
_atom_site_label
_atom_site_type_symbol
_atom_site_fract_x
_atom_site_fract_y
_atom_site_fract_z
Gd1 Gd 0.0000 0.0000 0.0000
Gd2 Gd 0.5000 0.5000 0.5000
B1 B 0.0000 0.0000 0.3555
B2 B 0.0000 0.0000 0.6445
B3 B 0.5000 0.5000 0.1445
B4 B 0.5000 0.5000 0.8555
Rh1 Rh 0.0000 0.5000 0.2500
Rh2 Rh 0.0000 0.5000 0.7500
Rh3 Rh 0.5000 0.0000 0.2500
Rh4 Rh 0.5000 0.0000 0.7500
C1 C 0.0000 0.0000 0.5000
C2 C 0.5000 0.5000 0.0000
# Energy relative to the elements (meV/atom): -590
# Size of the total moment (μB/f.u.): 6.96
# Space group: I4/mmm
# E (eV/atom): -9.1551